# 1
Compound: Ba3In2P6H6O18
Source: the Materials Project database
Functional: GGA-PBE
Structure: relaxed

```
Ba3In2P6H6O18
1.0
-9.3727 -2.9950 -3.3988
0.8117 -4.9932 9.0983
-1.7000 9.8352 2.9579
In O H P Ba
4 36 12 12 6
direct
0.5000 0.5000 0.0000
0.0000 0.0000 0.0000
0.0000 0.5000 0.5000
0.5000 0.0000 0.5000
0.2430 0.2154 0.7076
0.8889 0.3344 0.5670
0.1798 0.4984 0.6504
0.6504 0.1798 0.4984
0.0345 0.6037 0.8944
0.9688 0.6525 0.6521
0.0312 0.3475 0.3479
0.3963 0.1056 0.9655
0.3344 0.5670 0.8889
0.3496 0.8202 0.5016
0.7076 0.2430 0.2154
0.0451 0.8419 0.8625
0.9655 0.3963 0.1056
0.2154 0.7076 0.2430
0.6521 0.9688 0.6525
0.3475 0.3479 0.0312
0.3479 0.0312 0.3475
0.6525 0.6521 0.9688
0.1056 0.9655 0.3963
0.1581 0.1375 0.9549
0.1375 0.9549 0.1581
0.5670 0.8889 0.3344
0.4330 0.1111 0.6656
0.8202 0.5016 0.3496
0.6037 0.8944 0.0345
0.6656 0.4330 0.1111
0.8625 0.0451 0.8419
0.7846 0.2924 0.7570
0.4984 0.6504 0.1798
0.9549 0.1581 0.1375
0.8944 0.0345 0.6037
0.8419 0.8625 0.0451
0.7570 0.7846 0.2924
0.2924 0.7570 0.7846
0.1111 0.6656 0.4330
0.5016 0.3496 0.8202
0.1943 0.1660 0.3369
0.8340 0.6631 0.8057
0.1660 0.3369 0.1943
0.3930 0.3025 0.5838
0.6975 0.4162 0.6070
0.8057 0.8340 0.6631
0.5838 0.3930 0.3025
0.6070 0.6975 0.4162
0.6631 0.8057 0.8340
0.3369 0.1943 0.1660
0.3025 0.5838 0.3930
0.4162 0.6070 0.6975
0.0273 0.3148 0.1951
0.2467 0.6958 0.3889
0.6852 0.8049 0.9727
0.7533 0.3042 0.6111
0.3889 0.2467 0.6958
0.8049 0.9727 0.6852
0.3042 0.6111 0.7533
0.1951 0.0273 0.3148
0.6958 0.3889 0.2467
0.6111 0.7533 0.3042
0.3148 0.1951 0.0273
0.9727 0.6852 0.8049
0.6586 0.1703 0.9262
0.3414 0.8297 0.0738
0.9262 0.6586 0.1703
0.8297 0.0738 0.3414
0.1703 0.9262 0.6586
0.0738 0.3414 0.8297
```

Space-group type: R-3 (148)

***

# 2
Compound: Ba3H12Ir2
Source: the Materials Project database
Functional: GGA-PBE
Structure: relaxed

```
Ba3H12Ir2
1.0
-0.1364 1.9526 5.1769
-0.3494 -5.4476 -0.9131
8.9015 -0.6514 0.4803
H Ba Ir
12 3 2
direct
0.1874 0.3748 0.3486
0.8126 0.1874 0.6514
0.5274 0.4726 0.8723
0.0548 0.5274 0.1277
0.4726 0.5274 0.1277
0.3748 0.1874 0.6514
0.9452 0.4726 0.8723
0.1874 0.8126 0.3486
0.6252 0.8126 0.3486
0.8126 0.6252 0.6514
0.5274 0.0548 0.8723
0.4726 0.9452 0.1277
0.0000 0.0000 0.0000
0.6667 0.3333 0.3574
0.3333 0.6667 0.6426
0.3333 0.6667 0.2410
0.6667 0.3333 0.7590
```

Energy relative to the lowest polymorph listed for this composition (eV per atom): 0.000
Space-group type: P-3m1 (164)

***

# 3
Compound: Ba3H12Ir2
Source: the Materials Project database
Functional: GGA-PBE
Structure: relaxed

```
Ba3H12Ir2
1.0
-7.3983 -0.9748 -2.1680
6.0212 -3.7306 -3.8609
-0.8820 -4.3810 2.8576
H Ir Ba
12 2 3
direct
0.8285 0.4143 0.7667
0.6808 0.1527 0.7711
0.6808 0.5281 0.7711
0.1918 0.0959 0.3904
0.1715 0.5857 0.2333
0.3192 0.8473 0.2289
0.3192 0.4719 0.2289
0.3872 0.3261 0.8049
0.8082 0.9041 0.6096
0.3872 0.0611 0.8049
0.6128 0.9389 0.1951
0.6128 0.6739 0.1951
0.5811 0.2906 0.7870
0.4189 0.7094 0.2130
0.4257 0.7128 0.7110
0.0000 0.0000 0.0000
0.5743 0.2872 0.2890
```

Energy relative to the lowest polymorph listed for this composition (eV per atom): 0.417
Space-group type: C2/m (12)

***

# 4
Compound: BaLa3Sc4HO12
Source: the Materials Project database
Functional: GGA-PBE
Structure: relaxed

```
BaLa3Sc4HO12
1.0
-0.0403 0.0000 5.7897
5.8734 0.0000 -0.0405
0.0000 8.2951 0.0000
O H Sc La Ba
12 1 4 3 1
direct
0.2177 0.7858 0.5577
0.3924 0.0040 0.2500
0.0546 0.5214 0.2500
0.8071 0.2078 0.0581
0.6025 0.9789 0.7500
0.2177 0.7858 0.9423
0.2888 0.2914 0.9369
0.7289 0.7264 0.0348
0.2888 0.2914 0.5631
0.8910 0.4629 0.7500
0.8071 0.2078 0.4419
0.7289 0.7264 0.4652
0.9389 0.3961 0.2500
0.5051 0.0057 0.5008
0.9956 0.5038 0.9816
0.5051 0.0057 0.9992
0.9956 0.5038 0.5184
0.0141 0.0329 0.7500
0.9825 0.9519 0.2500
0.4842 0.5461 0.7500
0.5001 0.4779 0.2500
```

Space-group type: Pm (6)

***

# 5
Compound: Ba38Na58Li26H
Source: the Materials Project database
Functional: GGA-PBE
Structure: relaxed

```
Ba38Na58Li26H
1.0
-13.7055 -13.7055 0.0000
-13.7055 0.0000 -13.7055
0.0000 -13.7055 -13.7055
Ba Li Na H
38 26 58 1
direct
0.0031 0.6207 0.0031
0.8438 0.8438 0.8438
0.6207 0.0031 0.0031
0.2219 0.5927 0.5927
0.3731 0.6207 0.0031
0.2257 0.8584 0.4579
0.8438 0.4686 0.8438
0.4579 0.4579 0.8584
0.4579 0.8584 0.2257
0.4579 0.4579 0.2257
0.8584 0.2257 0.4579
0.5927 0.5927 0.5927
0.6207 0.0031 0.3731
0.4579 0.2257 0.4579
0.0031 0.0031 0.3731
0.0031 0.3731 0.6207
0.8584 0.4579 0.2257
0.0031 0.0031 0.6207
0.3731 0.0031 0.0031
0.4579 0.8584 0.4579
0.0000 0.0000 0.0000
0.4579 0.2257 0.8584
0.0947 0.7159 0.0947
0.5927 0.5927 0.2219
0.6207 0.3731 0.0031
0.7500 0.7500 0.7500
0.8584 0.4579 0.4579
0.2257 0.4579 0.4579
0.0947 0.0947 0.7159
0.3731 0.0031 0.6207
0.0031 0.6207 0.3731
0.5927 0.2219 0.5927
0.8438 0.8438 0.4686
0.2257 0.4579 0.8584
0.0031 0.3731 0.0031
0.0947 0.0947 0.0947
0.7159 0.0947 0.0947
0.4686 0.8438 0.8438
0.0419 0.5032 0.2275
0.2275 0.0419 0.5032
0.0419 0.2275 0.5032
0.5032 0.0419 0.2275
0.2275 0.2275 0.0419
0.3872 0.1128 0.3872
0.0419 0.2275 0.2275
0.3185 0.0446 0.3185
0.0446 0.3185 0.3185
0.3673 0.2109 0.2109
0.3185 0.3185 0.3185
0.3872 0.3872 0.1128
0.3185 0.3185 0.0446
0.2109 0.2109 0.2109
0.2275 0.2275 0.5032
0.1128 0.3872 0.1128
0.5032 0.2275 0.2275
0.2275 0.0419 0.2275
0.2275 0.5032 0.0419
0.2109 0.2109 0.3673
0.1128 0.3872 0.3872
0.5032 0.2275 0.0419
0.3872 0.1128 0.1128
0.2275 0.5032 0.2275
0.2109 0.3673 0.2109
0.1128 0.1128 0.3872
0.4182 0.7371 0.1076
0.2324 0.8667 0.2324
0.8667 0.2324 0.2324
0.7371 0.4182 0.7371
0.9866 0.6059 0.8015
0.8605 0.0444 0.2347
0.4501 0.4501 0.6498
0.8015 0.9866 0.6059
0.7371 0.4182 0.1076
0.7371 0.1076 0.7371
0.0444 0.8605 0.8605
0.6498 0.4501 0.4501
0.8667 0.2324 0.6685
0.6059 0.6059 0.8015
0.3413 0.6587 0.3413
0.4501 0.6498 0.4501
0.8605 0.2347 0.0444
0.6059 0.9866 0.6059
0.2324 0.2324 0.6685
0.2324 0.8667 0.6685
0.9866 0.8015 0.6059
0.8015 0.6059 0.9866
0.8605 0.0444 0.8605
0.6685 0.8667 0.2324
0.7371 0.1076 0.4182
0.6059 0.8015 0.9866
0.4501 0.4501 0.4501
0.7371 0.7371 0.1076
0.6059 0.6059 0.9866
0.1076 0.7371 0.4182
0.6685 0.2324 0.8667
0.6587 0.6587 0.3413
0.8667 0.6685 0.2324
0.8605 0.8605 0.2347
0.3413 0.3413 0.6587
0.2324 0.2324 0.8667
0.1076 0.7371 0.7371
0.3413 0.6587 0.6587
0.4182 0.1076 0.7371
0.6685 0.2324 0.2324
0.0444 0.2347 0.8605
0.6059 0.8015 0.6059
0.6059 0.9866 0.8015
0.7371 0.7371 0.4182
0.2324 0.6685 0.2324
0.4182 0.7371 0.7371
0.8605 0.8605 0.0444
0.2347 0.0444 0.8605
0.2347 0.8605 0.0444
0.6587 0.3413 0.6587
0.8605 0.2347 0.8605
0.1076 0.4182 0.7371
0.2347 0.8605 0.8605
0.9866 0.6059 0.6059
0.2324 0.6685 0.8667
0.0444 0.8605 0.2347
0.6587 0.3413 0.3413
0.8015 0.6059 0.6059
0.2500 0.2500 0.2500
```

Space-group type: F-43m (216)

***

# 6
Compound: Ba2Mg3H10
Source: the Materials Project database
Functional: GGA-PBE
Structure: relaxed

```
Ba2Mg3H10
1.0
-7.8126 3.4688 -4.1034
-7.6936 -2.3253 -5.0307
-6.2775 -0.8747 4.6604
H Ba Mg
20 4 6
direct
0.9146 0.3852 0.5155
0.3700 0.8489 0.9846
0.8489 0.3700 0.9846
0.4740 0.4740 0.1840
0.8647 0.8647 0.7436
0.2203 0.7797 0.5000
0.7685 0.7685 0.2756
0.6300 0.1511 0.0154
0.0000 0.5000 0.0000
0.6148 0.0854 0.4845
0.0854 0.6148 0.4845
0.0229 0.0229 0.8235
0.5000 0.0000 0.0000
0.7797 0.2203 0.5000
0.2315 0.2315 0.7244
0.9771 0.9771 0.1765
0.1511 0.6300 0.0154
0.3852 0.9146 0.5155
0.5260 0.5260 0.8160
0.1353 0.1353 0.2564
0.3844 0.3844 0.7238
0.6156 0.6156 0.2762
0.2858 0.2858 0.3073
0.7142 0.7142 0.6927
0.1731 0.1731 0.9887
0.0727 0.0727 0.5547
0.8269 0.8269 0.0113
0.7450 0.2550 0.0000
0.9273 0.9273 0.4453
0.2550 0.7450 0.0000
```

Space-group type: C2/m (12)

***

# 7
Compound: Ba2MgH6
Source: the Materials Project database
Functional: GGA-PBE
Structure: relaxed

```
Ba2MgH6
1.0
-1.9737 -1.8355 -3.6570
5.1283 -1.7300 -1.8994
-3.1056 -3.4247 3.3950
H Ba Mg
6 2 1
direct
0.7759 0.1713 0.8287
0.2241 0.8287 0.6574
0.2241 0.8287 0.1713
0.2241 0.3426 0.1713
0.7759 0.1713 0.3426
0.7759 0.6574 0.8287
0.7339 0.6667 0.3333
0.2661 0.3333 0.6667
0.0000 0.0000 0.0000
```

Space-group type: P-3m1 (164)

***

# 8
Compound: BaNaP3H3N3O6
Source: the Materials Project database
Functional: GGA-PBE
Structure: relaxed

```
BaNaP3H3N3O6
1.0
5.2513 5.4647 0.0000
-5.2513 5.4647 0.0000
0.0000 3.4502 7.2132
Ba Na O N P H
2 2 12 6 6 6
direct
0.5688 0.5688 0.6966
0.4312 0.4312 0.3034
0.1820 0.8180 0.5000
0.8180 0.1820 0.5000
0.8707 0.3520 0.7395
0.2052 0.5062 0.6613
0.6476 0.6476 0.9755
0.4938 0.7948 0.3387
0.3520 0.8707 0.7395
0.8882 0.8882 0.7052
0.5062 0.2052 0.6613
0.1293 0.6480 0.2605
0.3524 0.3524 0.0245
0.7948 0.4938 0.3387
0.6480 0.1293 0.2605
0.1118 0.1118 0.2948
0.2866 0.0318 0.9933
0.0318 0.2866 0.9933
0.9682 0.7134 0.0067
0.8372 0.8372 0.3058
0.1628 0.1628 0.6942
0.7134 0.9682 0.0067
0.6566 0.9394 0.2348
0.9394 0.6566 0.2348
0.3434 0.0606 0.7652
0.7998 0.7998 0.9135
0.0606 0.3434 0.7652
0.2002 0.2002 0.0865
0.9355 0.9355 0.2929
0.8976 0.2588 0.0820
0.7412 0.1024 0.9180
0.1024 0.7412 0.9180
0.0645 0.0645 0.7071
0.2588 0.8976 0.0820
```

Space-group type: C2/m (12)

***

Number 1: E_tot -444.58 eV/cell. Number 2: E_tot -73.50 eV/cell. Number 3: E_tot -66.42 eV/cell. Number 4: E_tot -173.10 eV/cell. Number 5: E_tot -203.29 eV/cell. Number 6: E_tot -95.64 eV/cell. Number 7: E_tot -29.68 eV/cell. Number 8: E_tot -224.68 eV/cell.